Entry 1:
Below is a geometry-optimized CeU4C5 structure, with properties calculated at the PBE level.

Unit cell a=12.6428 b=12.6428 c=12.6428 alpha=163.94 beta=163.94 gamma=22.79
Last column: nearest neighbours and their distance in Å.
Element x y z (fractional)
1 Ce 0.0000 0.0000 0.0000  6 C 2.50-2.61
2 U 0.4005 0.4005 0.0000  6 C 2.47-2.50
3 U 0.7994 0.7994 0.0000  6 C 2.37-2.50
4 U 0.2006 0.2006 0.0000  6 C 2.37-2.50
5 U 0.5995 0.5995 0.0000  6 C 2.47-2.50
6 C 0.3000 0.3000 0.0000  6 U 2.46-2.50
7 C 0.7000 0.7000 0.0000  6 U 2.46-2.50
8 C 0.1051 0.1051 0.0000  5 U 2.37-2.50, 1 Ce 2.61
9 C 0.5000 0.5000 0.0000  2 U 2.47, 4 Ce 2.50
10 C 0.8949 0.8949 0.0000  5 U 2.37-2.50, 1 Ce 2.61

Computed properties:
Spin magnetization (μB per formula unit): 0.1

=====

Entry 2:
Below is a geometry-optimized Ce4UC10 structure, with properties calculated at the PBE level.

Unit cell a=3.7315 b=6.2303 c=9.9574 alpha=108.23 beta=100.80 gamma=90.00
Last column: nearest neighbours and their distance in Å.
Element x y z (fractional)
1 Ce 0.5964 0.5964 0.1928  6 C 2.44-2.67
2 Ce 0.1950 0.1950 0.3900  6 C 2.47-2.73
3 Ce 0.8050 0.8050 0.6100  6 C 2.47-2.73
4 Ce 0.4036 0.4036 0.8072  6 C 2.44-2.67
5 U 0.0000 0.0000 0.0000  10 C 2.44-2.64
6 C 0.4058 0.7982 0.8117  1 C 1.34
7 C 0.2006 0.5964 0.4013  1 C 1.30
8 C 0.0000 0.3911 0.0000  1 C 1.36
9 C 0.7994 0.1951 0.5987  1 C 1.30
10 C 0.5942 0.9865 0.1883  1 C 1.34
11 C 0.7994 0.4036 0.5987  1 C 1.30
12 C 0.5942 0.2018 0.1883  1 C 1.34
13 C 0.4058 0.0135 0.8117  1 C 1.34
14 C 0.2006 0.8049 0.4013  1 C 1.30
15 C 0.0000 0.6089 0.0000  1 C 1.36

Computed properties:
Spin magnetization (μB per formula unit): 2.7

=====

One value per record, in order, for energy relative to the elements: -1.02, -1.79 eV per formula unit.
One value per record, in order, for E_tot: -9.83, -8.61 eV/atom.